Crystalline MoBr5N2O at its relaxed geometry, computed with PBE with a Hubbard U.

Computed properties:
MP2020-corrected energy (eV per cell): -132.842
DFT formation energy (eV/atom): 0.827

Cell lengths 7.214, 10.509, 15.257 Å; angles 90.00, 90.00, 90.00 degrees
Positions (direct):
Mo 0.817 0.750 0.084
Mo 0.683 0.750 0.584
Mo 0.183 0.250 0.916
Mo 0.317 0.250 0.416
Br 0.810 0.984 0.105
Br 0.690 0.516 0.605
Br 0.190 0.484 0.895
Br 0.310 0.016 0.395
Br 0.190 0.016 0.895
Br 0.310 0.484 0.395
Br 0.810 0.516 0.105
Br 0.690 0.984 0.605
Br 0.523 0.750 0.006
Br 0.977 0.750 0.506
Br 0.477 0.250 0.994
Br 0.023 0.250 0.494
Br 0.023 0.750 0.227
Br 0.477 0.750 0.727
Br 0.977 0.250 0.773
Br 0.523 0.250 0.273
Br 0.629 0.750 0.253
Br 0.871 0.750 0.753
Br 0.371 0.250 0.747
Br 0.129 0.250 0.247
N 0.844 0.498 0.356
N 0.656 0.002 0.856
N 0.156 0.998 0.644
N 0.344 0.502 0.144
N 0.156 0.502 0.644
N 0.344 0.998 0.144
N 0.844 0.002 0.356
N 0.656 0.498 0.856
O 0.983 0.750 0.005
O 0.517 0.750 0.505
O 0.017 0.250 0.995
O 0.483 0.250 0.495

Crystalline CrAuO2 at its relaxed geometry, computed with PBE with a Hubbard U.

Computed properties:
MP2020-corrected energy (eV per cell): -58.628
DFT formation energy (eV/atom): -1.623

Cell lengths 3.074, 12.490, 3.074 Å; angles 82.93, 60.00, 90.00 degrees
Positions (direct):
Cr 0.250 0.750 0.500
Cr 0.750 0.250 0.500
Au 0.000 0.000 0.000
Au 0.500 0.500 0.000
O 0.057 0.170 0.887
O 0.557 0.670 0.887
O 0.443 0.330 0.113
O 0.943 0.830 0.113

Crystalline MgVP2O7 at its relaxed geometry, computed with PBE with a Hubbard U.

Computed properties:
MP2020-corrected energy (eV per cell): -86.660
DFT formation energy (eV/atom): -2.774

Cell lengths 5.383, 5.383, 4.557 Å; angles 82.71, 97.29, 75.35 degrees
Positions (direct):
Mg 0.768 0.768 0.000
V 0.142 0.142 0.000
P 0.672 0.234 0.408
P 0.234 0.672 0.592
O 0.826 0.079 0.711
O 0.386 0.826 0.774
O 0.068 0.543 0.778
O 0.079 0.826 0.289
O 0.441 0.441 0.500
O 0.543 0.068 0.222
O 0.826 0.386 0.226

Crystalline CaVO2 at its relaxed geometry, computed with PBE with a Hubbard U.

Computed properties:
MP2020-corrected energy (eV per cell): -121.818
DFT formation energy (eV/atom): -2.367

Cell lengths 3.183, 8.792, 8.931 Å; angles 85.09, 79.81, 79.74 degrees
Positions (direct):
Ca 0.902 0.262 0.927
Ca 0.098 0.738 0.073
Ca 0.306 0.081 0.302
Ca 0.694 0.919 0.698
V 0.324 0.599 0.753
V 0.067 0.256 0.600
V 0.933 0.744 0.400
V 0.676 0.401 0.247
O 0.091 0.552 0.269
O 0.328 0.782 0.569
O 0.672 0.218 0.431
O 0.909 0.448 0.731
O 0.697 0.732 0.879
O 0.532 0.166 0.759
O 0.303 0.268 0.121
O 0.468 0.834 0.241